(1)
Compound: Nd6TiInS12
Source: the Materials Project
Functional: PBE
Structure: optimized geometry

Output
ΔH_f (0 K) = -2.09 eV/atom
V = 22.41 Å³/atom

Lattice parameters (Å, degrees): 13.893 16.361 3.945 90.00 90.00 90.00
Atoms (fractional coordinates):
Nd1 0.049 0.217 0.000
Nd2 0.183 0.650 0.000
Nd3 0.240 0.899 0.500
Nd4 0.260 0.399 0.000
Nd5 0.317 0.150 0.500
Nd6 0.451 0.717 0.500
Nd7 0.549 0.283 0.500
Nd8 0.683 0.850 0.500
Nd9 0.740 0.601 0.000
Nd10 0.760 0.101 0.500
Nd11 0.817 0.350 0.000
Nd12 0.951 0.783 0.000
Ti1 0.000 0.000 0.500
Ti2 0.500 0.500 0.000
In1 0.000 0.500 0.500
In2 0.500 0.000 0.000
S1 0.023 0.395 0.000
S2 0.083 0.926 0.000
S3 0.103 0.754 0.500
S4 0.120 0.103 0.500
S5 0.187 0.288 0.500
S6 0.188 0.521 0.500
S7 0.312 0.021 0.000
S8 0.313 0.788 0.000
S9 0.380 0.603 0.000
S10 0.397 0.254 0.000
S11 0.417 0.426 0.500
S12 0.477 0.895 0.500
S13 0.523 0.105 0.500
S14 0.583 0.574 0.500
S15 0.603 0.746 0.000
S16 0.620 0.397 0.000
S17 0.687 0.212 0.000
S18 0.688 0.979 0.000
S19 0.812 0.479 0.500
S20 0.813 0.712 0.500
S21 0.880 0.897 0.500
S22 0.897 0.246 0.500
S23 0.917 0.074 0.000
S24 0.977 0.605 0.000

(2)
Compound: Ca2Al2SiH2O8
Source: the Materials Project
Functional: PBE
Structure: optimized geometry

Output
ΔH_f (0 K) = -3.04 eV/atom
V = 11.81 Å³/atom

Lattice parameters (Å, degrees): 12.587 7.723 7.723 109.27 90.00 90.00
Atoms (fractional coordinates):
Ca1 0.001 0.143 0.857
Ca2 0.143 0.715 0.720
Ca3 0.357 0.215 0.220
Ca4 0.499 0.643 0.357
Ca5 0.501 0.357 0.643
Ca6 0.643 0.220 0.215
Ca7 0.857 0.720 0.715
Ca8 0.999 0.857 0.143
Al1 0.121 0.234 0.483
Al2 0.247 0.359 0.858
Al3 0.253 0.859 0.358
Al4 0.379 0.734 0.983
Al5 0.621 0.983 0.734
Al6 0.747 0.358 0.859
Al7 0.753 0.858 0.359
Al8 0.879 0.483 0.234
Si1 0.128 0.483 0.235
Si2 0.372 0.983 0.735
Si3 0.628 0.735 0.983
Si4 0.872 0.235 0.483
H1 0.007 0.502 0.850
H2 0.174 0.033 0.049
H3 0.326 0.533 0.549
H4 0.493 0.002 0.350
H5 0.507 0.350 0.002
H6 0.674 0.549 0.533
H7 0.826 0.049 0.033
H8 0.993 0.850 0.502
O1 0.002 0.860 0.630
O2 0.010 0.419 0.144
O3 0.115 0.973 0.972
O4 0.133 0.285 0.722
O5 0.138 0.442 0.431
O6 0.143 0.705 0.278
O7 0.214 0.075 0.350
O8 0.218 0.366 0.088
O9 0.282 0.866 0.588
O10 0.286 0.575 0.850
O11 0.357 0.205 0.778
O12 0.362 0.942 0.931
O13 0.367 0.785 0.222
O14 0.385 0.473 0.472
O15 0.490 0.919 0.644
O16 0.498 0.360 0.130
O17 0.502 0.130 0.360
O18 0.510 0.644 0.919
O19 0.615 0.472 0.473
O20 0.633 0.222 0.785
O21 0.638 0.931 0.942
O22 0.643 0.778 0.205
O23 0.714 0.850 0.575
O24 0.718 0.588 0.866
O25 0.782 0.088 0.366
O26 0.786 0.350 0.075
O27 0.857 0.278 0.705
O28 0.862 0.431 0.442
O29 0.867 0.722 0.285
O30 0.885 0.972 0.973
O31 0.990 0.144 0.419
O32 0.998 0.630 0.860